ErNiB4 r2SCAN relaxed; raw total energy = -316.36 eV for the cell shown; formation energy from the elements = -633 meV/atom
1.0
6.628 0.265 -1.333
-0.302 -4.455 5.083
-3.706 -1.838 -5.354
B Ni Er
16 4 4
direct
0.276 0.112 0.388
0.580 0.580 0.466
0.724 0.888 0.612
0.114 0.114 0.534
0.420 0.886 0.000
0.114 0.580 0.000
0.886 0.420 0.000
0.580 0.114 0.000
0.420 0.420 0.534
0.888 0.724 0.612
0.886 0.886 0.466
0.276 0.888 0.165
0.112 0.276 0.388
0.888 0.276 0.165
0.724 0.112 0.835
0.112 0.724 0.835
0.272 0.500 0.772
0.500 0.728 0.228
0.500 0.272 0.772
0.728 0.500 0.228
0.250 0.750 0.500
0.204 0.204 0.000
0.796 0.796 0.000
0.750 0.250 0.500

---

K2Re3Se6 r2SCAN relaxed; raw total energy = -1055.46 eV for the cell shown; formation energy from the elements = -793 meV/atom
1.0
5.083 8.661 -0.005
-5.083 8.661 -0.005
0.000 0.330 12.409
Se Re K
24 12 8
direct
0.265 0.439 0.804
0.439 0.265 0.304
0.747 0.928 0.170
0.200 0.286 0.069
0.800 0.714 0.931
0.735 0.561 0.196
0.067 0.996 0.081
0.004 0.933 0.419
0.072 0.253 0.330
0.253 0.072 0.830
0.389 0.939 0.222
0.282 0.553 0.519
0.061 0.611 0.278
0.933 0.004 0.919
0.996 0.067 0.581
0.561 0.735 0.696
0.939 0.389 0.722
0.928 0.747 0.670
0.718 0.447 0.481
0.447 0.718 0.981
0.286 0.200 0.569
0.714 0.800 0.431
0.553 0.282 0.019
0.611 0.061 0.778
0.470 0.113 0.126
0.530 0.887 0.874
0.887 0.530 0.374
0.685 0.997 0.974
0.997 0.685 0.474
0.113 0.470 0.626
0.818 0.601 0.581
0.182 0.399 0.419
0.601 0.818 0.081
0.003 0.315 0.526
0.315 0.003 0.026
0.399 0.182 0.919
0.123 0.648 0.017
0.352 0.877 0.483
0.783 0.217 0.250
0.603 0.397 0.750
0.217 0.783 0.750
0.397 0.603 0.250
0.877 0.352 0.983
0.648 0.123 0.517

---

raw total energy of number 1 (ErNiB4)?
-316.36 eV for the cell shown

---

Number 2 is which compound?
K2Re3Se6

---

What is the formula in the second record?
K2Re3Se6